! GaCo2Ni PBE optimized geometry; values from VASP
! * E_tot: -5.8891 eV/atom
! * formation energy from the elements: -132.8 meV per atom
&SYSTEM
  ibrav = 0, nat = 4, ntyp = 3
/
ATOMIC_SPECIES
Co 58.93 Co.upf
Ga 69.72 Ga.upf
Ni 58.69 Ni.upf
CELL_PARAMETERS angstrom
-1.794 1.794 3.562
1.794 -1.794 3.562
1.794 1.794 -3.562
ATOMIC_POSITIONS crystal
Co 0.250 0.750 0.500
Co 0.750 0.250 0.500
Ga 0.000 0.000 0.000
Ni 0.500 0.500 0.000